Record 1
# La

La after structural relaxation (PBE-GGA, the Materials Project database).

abc: 3.658 3.658 3.658
angles: 109.47 109.47 109.47
Element x y z (fractional)
La  0.000  0.000  0.000

DFT formation energy (eV/atom): 0.13
Final energy (eV per cell): -4.80
Space group: No. 229
Crystal system: cubic

---

Record 2
# La

La after structural relaxation (PBE-GGA, the Materials Project database).

abc: 3.771 3.771 12.065
angles: 90.00 90.00 120.00
Element x y z (fractional)
La  0.000  0.000  0.000
La  0.000  0.000  0.500
La  0.333  0.667  0.250
La  0.667  0.333  0.750

DFT formation energy (eV/atom): 0.00
Final energy (eV per cell): -19.74
Space group: No. 194
Crystal system: hexagonal

---

Record 3
# La

La after structural relaxation (PBE-GGA, the Materials Project database).

abc: 3.741 3.741 3.741
angles: 60.00 60.00 60.00
Element x y z (fractional)
La  0.000  0.000  0.000

DFT formation energy (eV/atom): 0.00
Final energy (eV per cell): -4.94
Space group: No. 225
Crystal system: cubic

---

Record 4
# LiLa3

LiLa3 after structural relaxation (PBE-GGA, the Materials Project database).

abc: 7.375 7.375 5.453
angles: 90.00 90.00 120.00
Element x y z (fractional)
Li  0.667  0.333  0.250
Li  0.333  0.667  0.750
La  0.825  0.175  0.750
La  0.350  0.175  0.750
La  0.825  0.650  0.750
La  0.175  0.350  0.250
La  0.650  0.825  0.250
La  0.175  0.825  0.250

DFT formation energy (eV/atom): 0.14
Final energy (eV per cell): -32.27
Magnetic moment (μB per atom): 0.00
Space group: No. 194
Crystal system: hexagonal

---

Record 5
# LiLa3

LiLa3 after structural relaxation (PBE-GGA, the Materials Project database).

abc: 5.116 5.116 5.116
angles: 90.00 90.00 90.00
Element x y z (fractional)
Li  0.500  0.500  0.500
La  0.500  0.000  0.000
La  0.000  0.500  0.000
La  0.000  0.000  0.500

DFT formation energy (eV/atom): 0.15
Final energy (eV per cell): -16.13
Magnetic moment (μB per atom): 0.04
Space group: No. 221
Crystal system: cubic

---

Record 6
# LiLaMg6O8

LiLaMg6O8 after structural relaxation (PBE-GGA, the Materials Project database).

abc: 8.911 4.483 4.483
angles: 90.00 90.00 90.00
Element x y z (fractional)
Li  0.000  0.000  0.000
La  0.500  0.000  0.000
Mg  0.000  0.500  0.500
Mg  0.500  0.500  0.500
Mg  0.221  0.000  0.500
Mg  0.779  0.000  0.500
Mg  0.221  0.500  0.000
Mg  0.779  0.500  0.000
O  0.234  0.000  0.000
O  0.766  0.000  0.000
O  0.253  0.500  0.500
O  0.747  0.500  0.500
O  0.000  0.000  0.500
O  0.500  0.000  0.500
O  0.000  0.500  0.000
O  0.500  0.500  0.000

DFT formation energy (eV/atom): -2.87
Final energy (eV per cell): -96.48
Magnetic moment (μB per atom): 0.00
Space group: No. 123
Crystal system: tetragonal

---

Record 7
# LiLaMg6O8

LiLaMg6O8 after structural relaxation (PBE-GGA, the Materials Project database).

abc: 8.944 4.461 4.461
angles: 90.00 90.00 90.00
Element x y z (fractional)
Li  0.000  0.000  0.000
La  0.000  0.500  0.500
Mg  0.500  0.000  0.000
Mg  0.500  0.500  0.500
Mg  0.267  0.000  0.500
Mg  0.733  0.000  0.500
Mg  0.267  0.500  0.000
Mg  0.733  0.500  0.000
O  0.265  0.000  0.000
O  0.735  0.000  0.000
O  0.273  0.500  0.500
O  0.727  0.500  0.500
O  0.000  0.000  0.500
O  0.500  0.000  0.500
O  0.000  0.500  0.000
O  0.500  0.500  0.000

DFT formation energy (eV/atom): -2.93
Final energy (eV per cell): -97.40
Magnetic moment (μB per atom): 0.00
Space group: No. 123
Crystal system: tetragonal

---

Record 8
# LiLa5Si4N10O

LiLa5Si4N10O after structural relaxation (PBE-GGA, the Materials Project database).

abc: 5.768 6.587 8.389
angles: 103.14 107.61 94.61
Element x y z (fractional)
Li  0.493  0.005  0.492
La  0.912  0.147  0.332
La  0.087  0.850  0.663
La  0.285  0.735  0.132
La  0.717  0.281  0.876
La  0.494  0.486  0.491
Si  0.377  0.208  0.095
Si  0.619  0.790  0.908
Si  0.172  0.356  0.742
Si  0.829  0.644  0.260
N  0.503  0.003  0.996
N  0.636  0.404  0.204
N  0.367  0.595  0.790
N  0.169  0.295  0.936
N  0.829  0.703  0.063
N  0.867  0.364  0.631
N  0.135  0.643  0.373
N  0.294  0.171  0.620
N  0.709  0.825  0.387
N  0.276  0.128  0.246
O  0.731  0.865  0.765

DFT formation energy (eV/atom): -1.52
Final energy (eV per cell): -167.90
Magnetic moment (μB per atom): 0.00
Space group: No. 1
Crystal system: triclinic

---

Record 9
# Li5La5Si4N12

Li5La5Si4N12 after structural relaxation (PBE-GGA, the Materials Project database).

abc: 11.067 11.067 5.608
angles: 90.00 90.00 90.00
Element x y z (fractional)
Li  0.289  0.883  0.853
Li  0.211  0.383  0.853
Li  0.711  0.117  0.853
Li  0.789  0.617  0.853
Li  0.883  0.711  0.147
Li  0.617  0.211  0.147
Li  0.117  0.289  0.147
Li  0.383  0.789  0.147
Li  0.500  0.000  0.000
Li  0.000  0.500  0.000
La  0.376  0.617  0.733
La  0.124  0.117  0.733
La  0.624  0.383  0.733
La  0.876  0.883  0.733
La  0.617  0.624  0.267
La  0.883  0.124  0.267
La  0.383  0.376  0.267
La  0.117  0.876  0.267
La  0.500  0.000  0.500
La  0.000  0.500  0.500
Si  0.608  0.769  0.762
Si  0.892  0.269  0.762
Si  0.392  0.231  0.762
Si  0.108  0.731  0.762
Si  0.769  0.392  0.238
Si  0.731  0.892  0.238
Si  0.231  0.608  0.238
Si  0.269  0.108  0.238
N  0.466  0.832  0.798
N  0.034  0.332  0.798
N  0.534  0.168  0.798
N  0.966  0.668  0.798
N  0.832  0.534  0.202
N  0.668  0.034  0.202
N  0.168  0.466  0.202
N  0.332  0.966  0.202
N  0.604  0.609  0.737
N  0.896  0.109  0.737
N  0.396  0.391  0.737
N  0.104  0.891  0.737
N  0.609  0.396  0.263
N  0.891  0.896  0.263
N  0.391  0.604  0.263
N  0.109  0.104  0.263
N  0.210  0.710  0.000
N  0.290  0.210  0.000
N  0.790  0.290  0.000
N  0.710  0.790  0.000
N  0.672  0.828  0.500
N  0.828  0.328  0.500
N  0.328  0.172  0.500
N  0.172  0.672  0.500

DFT formation energy (eV/atom): -1.38
Final energy (eV per cell): -374.80
Magnetic moment (μB per atom): 0.00
Space group: No. 117
Crystal system: tetragonal

---

Record 10
# Na2LiLa3Ti6O18

Na2LiLa3Ti6O18 after structural relaxation (PBE-GGA, the Materials Project database).

abc: 5.488 5.491 12.526
angles: 102.14 102.38 89.80
Element x y z (fractional)
Na  0.562  0.070  0.146
Na  0.723  0.241  0.471
Li  0.866  0.350  0.751
La  0.236  0.745  0.487
La  0.404  0.906  0.825
La  0.062  0.572  0.149
Ti  0.984  0.997  0.984
Ti  0.823  0.818  0.655
Ti  0.652  0.661  0.319
Ti  0.487  0.489  0.987
Ti  0.323  0.329  0.657
Ti  0.154  0.152  0.321
O  0.941  0.444  0.315
O  0.587  0.074  0.649
O  0.418  0.412  0.318
O  0.919  0.994  0.834
O  0.760  0.685  0.505
O  0.254  0.283  0.026
O  0.268  0.770  0.980
O  0.105  0.041  0.651
O  0.587  0.653  0.170
O  0.421  0.350  0.836
O  0.930  0.942  0.360
O  0.756  0.260  0.026
O  0.760  0.737  0.984
O  0.251  0.316  0.506
O  0.089  0.025  0.170
O  0.586  0.601  0.693
O  0.418  0.921  0.360
O  0.092  0.579  0.696

DFT formation energy (eV/atom): -3.44
Final energy (eV per cell): -246.71
Magnetic moment (μB per atom): 0.00
Space group: No. 1
Crystal system: triclinic

---

Calculated volume per entry: 37.67, 37.15, 37.03, 32.11, 33.48, 11.19, 11.13, 13.90, 13.21, 12.00 Å³ per atom